A relaxed LiMnSiO4 crystal, computed with PBE with a Hubbard U.

## Properties
Total magnetization in μB per atom: 0.000
Formation energy from the elements in eV/atom: -2.57

a b c (Å): 5.6807 9.6672 5.6807
angles (deg): 104.83 63.18 104.83
Fractional coordinates of all 28 atoms:
Li  0.5002  0.0000  0.9999
Li  0.0002  0.5000  0.4999
Li  0.7500  0.2500  0.2499
Li  0.2500  0.7500  0.7499
Mn  0.4999  0.5001  0.5002
Mn  0.5002  0.0002  0.5001
Mn  0.0004  0.0001  0.0000
Mn  0.9993  0.4997  0.0001
Si  0.0672  0.1830  0.5672
Si  0.5671  0.6830  0.0672
Si  0.4327  0.3171  0.9328
Si  0.9328  0.8171  0.4328
O  0.8863  0.1287  0.3862
O  0.3859  0.6286  0.8862
O  0.3781  0.1355  0.8779
O  0.8780  0.6354  0.3779
O  0.1221  0.3645  0.6221
O  0.6222  0.8646  0.1220
O  0.6136  0.3712  0.1138
O  0.1139  0.8714  0.6138
O  0.3597  0.1230  0.3944
O  0.8595  0.6229  0.8945
O  0.8946  0.1229  0.8597
O  0.3945  0.6229  0.3597
O  0.6056  0.3771  0.6403
O  0.1057  0.8771  0.1402
O  0.1401  0.3770  0.1056
O  0.6403  0.8771  0.6055



A relaxed Ba2CaV2Si4O14 crystal, computed with PBE with a Hubbard U.

## Properties
Total magnetization in μB per atom: 0.194
Space-group type: P1
Formation energy from the elements in eV/atom: -3.04

a b c (Å): 6.3134 7.5730 7.9932
angles (deg): 90.24 108.63 102.33
Fractional coordinates of all 23 atoms:
Ba  0.0000  0.0000  0.0000
Ba  0.3766  0.4463  0.7955
Ca  0.3621  0.8762  0.5639
V  0.0361  0.5459  0.2194
V  0.9301  0.0294  0.4674
Si  0.5614  0.7474  0.1846
Si  0.6200  0.1799  0.1546
Si  0.7295  0.2747  0.5848
Si  0.7944  0.7102  0.6089
O  0.0501  0.8407  0.6584
O  0.1209  0.9963  0.3512
O  0.1955  0.5742  0.4480
O  0.2870  0.6591  0.1118
O  0.3845  0.2297  0.0496
O  0.5323  0.1917  0.6651
O  0.6082  0.9573  0.1170
O  0.6587  0.7947  0.4117
O  0.6616  0.7528  0.7401
O  0.6755  0.1847  0.3770
O  0.7312  0.6413  0.1326
O  0.7821  0.4954  0.5828
O  0.8525  0.2911  0.1212
O  0.9672  0.2041  0.6756



A relaxed RbMgFeSe2O8 crystal, computed with PBE with a Hubbard U.

## Properties
Total magnetization in μB per atom: 0.385
Space-group type: P1
Formation energy from the elements in eV/atom: -1.64

a b c (Å): 5.3391 5.7675 7.5118
angles (deg): 100.03 92.90 111.35
Fractional coordinates of all 13 atoms:
Rb  0.0000  0.0000  0.0000
Mg  0.2949  0.5731  0.7281
Fe  0.9534  0.8627  0.5151
Se  0.3858  0.6905  0.2293
Se  0.5987  0.1940  0.6680
O  0.2145  0.8674  0.3180
O  0.2423  0.1905  0.6590
O  0.2965  0.4146  0.2896
O  0.3487  0.6768  0.0042
O  0.5990  0.8778  0.6623
O  0.6937  0.3229  0.8875
O  0.7191  0.8668  0.2976
O  0.9831  0.6283  0.6322



A relaxed Mn9P16O56 crystal, computed with PBE with a Hubbard U.

## Properties
Total magnetization in μB per atom: 0.432
Space-group type: P-1
Formation energy from the elements in eV/atom: -2.36

a b c (Å): 9.7443 10.9416 12.6227
angles (deg): 100.77 110.67 108.15
Fractional coordinates of all 81 atoms:
Mn  0.0000  0.0000  0.0000
Mn  0.2566  0.2449  0.6900
Mn  0.2566  0.2748  0.1994
Mn  0.3800  0.7775  0.5860
Mn  0.3813  0.7728  0.0743
Mn  0.6187  0.2272  0.9257
Mn  0.6200  0.2225  0.4140
Mn  0.7434  0.7252  0.8006
Mn  0.7434  0.7551  0.3100
P  0.1085  0.7944  0.3451
P  0.1112  0.8008  0.8453
P  0.2630  0.9521  0.2228
P  0.2845  0.9719  0.7416
P  0.3280  0.5402  0.1132
P  0.3444  0.2945  0.9789
P  0.3586  0.5327  0.6427
P  0.3605  0.2988  0.4822
P  0.6395  0.7012  0.5178
P  0.6414  0.4673  0.3573
P  0.6556  0.7055  0.0211
P  0.6720  0.4598  0.8868
P  0.7155  0.0281  0.2584
P  0.7370  0.0479  0.7772
P  0.8888  0.1992  0.1547
P  0.8915  0.2056  0.6549
O  0.0087  0.1845  0.6077
O  0.0098  0.1666  0.1060
O  0.0264  0.6632  0.7523
O  0.0413  0.6506  0.2573
O  0.1361  0.9054  0.2758
O  0.1552  0.9267  0.7949
O  0.1914  0.0258  0.1382
O  0.2222  0.5848  0.0178
O  0.2330  0.0584  0.6680
O  0.2363  0.2150  0.0302
O  0.2447  0.5886  0.5713
O  0.2463  0.2652  0.8458
O  0.2502  0.2684  0.3500
O  0.2599  0.4636  0.1823
O  0.2627  0.8187  0.1575
O  0.2668  0.8364  0.6658
O  0.2684  0.2129  0.5371
O  0.2720  0.8333  0.9500
O  0.2755  0.8337  0.4440
O  0.2955  0.4364  0.7040
O  0.4010  0.4537  0.0497
O  0.4136  0.4559  0.5556
O  0.4241  0.0523  0.3229
O  0.4522  0.0468  0.8482
O  0.4727  0.6853  0.1912
O  0.4787  0.7091  0.4964
O  0.4871  0.3359  0.2683
O  0.4979  0.7246  0.9877
O  0.5021  0.2754  0.0123
O  0.5129  0.6641  0.7317
O  0.5213  0.2909  0.5036
O  0.5273  0.3147  0.8088
O  0.5478  0.9532  0.1518
O  0.5759  0.9477  0.6771
O  0.5864  0.5441  0.4444
O  0.5990  0.5463  0.9503
O  0.7045  0.5636  0.2960
O  0.7245  0.1663  0.5560
O  0.7280  0.1667  0.0500
O  0.7316  0.7871  0.4629
O  0.7332  0.1636  0.3342
O  0.7373  0.1813  0.8425
O  0.7401  0.5364  0.8177
O  0.7498  0.7316  0.6500
O  0.7537  0.7348  0.1542
O  0.7553  0.4114  0.4287
O  0.7637  0.7850  0.9698
O  0.7670  0.9416  0.3320
O  0.7778  0.4152  0.9822
O  0.8086  0.9742  0.8618
O  0.8448  0.0733  0.2051
O  0.8639  0.0946  0.7242
O  0.9587  0.3494  0.7427
O  0.9736  0.3368  0.2477
O  0.9902  0.8334  0.8940
O  0.9913  0.8155  0.3923



A relaxed Ba2LiMn2O6 crystal, computed with PBE with a Hubbard U.

## Properties
Total magnetization in μB per atom: 0.091
Space-group type: Cm
Formation energy from the elements in eV/atom: -2.32

a b c (Å): 6.1640 6.1640 5.2234
angles (deg): 104.07 104.07 56.99
Fractional coordinates of all 11 atoms:
Ba  0.0000  0.0000  0.0000
Ba  0.7093  0.7093  0.3838
Li  0.1679  0.1679  0.6186
Mn  0.3731  0.3731  0.1067
Mn  0.3948  0.3948  0.6126
O  0.0944  0.5211  0.8064
O  0.2284  0.6789  0.3965
O  0.2292  0.2292  0.3205
O  0.5211  0.0944  0.8064
O  0.5366  0.5366  0.9145
O  0.6789  0.2284  0.3965



A relaxed FeOF crystal, computed with PBE with a Hubbard U.

## Properties
Total magnetization in μB per atom: 0.000
Space-group type: P2_1/c
Formation energy from the elements in eV/atom: -2.10

a b c (Å): 5.0881 4.6837 5.7332
angles (deg): 90.00 91.18 90.00
Fractional coordinates of all 12 atoms:
Fe  0.2192  0.0255  0.1656
Fe  0.2192  0.4745  0.6656
Fe  0.7808  0.5255  0.3344
Fe  0.7808  0.9745  0.8344
O  0.0813  0.2253  0.8895
O  0.0813  0.2747  0.3895
O  0.9187  0.7253  0.6105
O  0.9187  0.7747  0.1105
F  0.4248  0.7347  0.3733
F  0.4248  0.7653  0.8733
F  0.5752  0.2347  0.1267
F  0.5752  0.2653  0.6267



A relaxed MgFe6O6F6 crystal, computed with PBE with a Hubbard U.

## Properties
Total magnetization in μB per atom: 1.474
Space-group type: P1
Formation energy from the elements in eV/atom: -2.10

a b c (Å): 3.0413 5.2291 14.5840
angles (deg): 81.31 89.96 89.97
Fractional coordinates of all 19 atoms:
Mg  0.0000  0.0000  0.0000
Fe  0.4927  0.9291  0.5054
Fe  0.4943  0.0590  0.1981
Fe  0.4961  0.9002  0.8029
Fe  0.9802  0.4976  0.0056
Fe  0.9936  0.4194  0.6538
Fe  0.9940  0.5522  0.3505
O  0.4936  0.6771  0.4086
O  0.9927  0.7638  0.5674
O  0.9942  0.8459  0.2458
O  0.9948  0.2049  0.1078
O  0.9960  0.1006  0.7524
O  0.9956  0.7770  0.9015
F  0.4933  0.3548  0.2726
F  0.4936  0.2364  0.5778
F  0.4944  0.5993  0.7391
F  0.4949  0.7646  0.0622
F  0.4967  0.2365  0.9475
F  0.9934  0.1678  0.4246



A relaxed SrCa7Mn8O22 crystal, computed with PBE with a Hubbard U.

## Properties
Total magnetization in μB per atom: 0.737
Space-group type: Cmmm
Formation energy from the elements in eV/atom: -2.46

a b c (Å): 7.7041 7.7041 7.6542
angles (deg): 90.00 90.00 90.03
Fractional coordinates of all 38 atoms:
Sr  0.0000  0.0000  0.0000
Ca  0.0000  0.0000  0.5000
Ca  0.0000  0.5000  0.0000
Ca  0.0000  0.5000  0.5000
Ca  0.5000  0.0000  0.0000
Ca  0.5000  0.0000  0.5000
Ca  0.5000  0.5000  0.0000
Ca  0.5000  0.5000  0.5000
Mn  0.2506  0.2506  0.2583
Mn  0.2506  0.2506  0.7417
Mn  0.2510  0.7490  0.2448
Mn  0.2510  0.7490  0.7552
Mn  0.7490  0.2510  0.2448
Mn  0.7490  0.2510  0.7552
Mn  0.7494  0.7494  0.2583
Mn  0.7494  0.7494  0.7417
O  0.0041  0.2539  0.2339
O  0.0041  0.2539  0.7661
O  0.2512  0.2512  0.5000
O  0.2512  0.4953  0.2283
O  0.2512  0.4953  0.7717
O  0.2515  0.7485  0.0000
O  0.2515  0.7485  0.5000
O  0.2539  0.0041  0.2339
O  0.2539  0.0041  0.7661
O  0.4953  0.2512  0.2283
O  0.4953  0.2512  0.7717
O  0.5047  0.7488  0.2283
O  0.5047  0.7488  0.7717
O  0.7461  0.9959  0.2339
O  0.7461  0.9959  0.7661
O  0.7485  0.2515  0.5000
O  0.7485  0.2515  0.0000
O  0.7488  0.5047  0.2283
O  0.7488  0.5047  0.7717
O  0.7488  0.7488  0.5000
O  0.9959  0.7461  0.2339
O  0.9959  0.7461  0.7661



A relaxed Li5Mn8B8O24 crystal, computed with PBE with a Hubbard U.

## Properties
Total magnetization in μB per atom: 0.822
Space-group type: P1
Formation energy from the elements in eV/atom: -2.44

a b c (Å): 5.3352 9.0286 10.3983
angles (deg): 90.46 92.28 90.30
Fractional coordinates of all 45 atoms:
Li  0.0000  0.0000  0.0000
Li  0.0035  0.0433  0.5000
Li  0.2089  0.5179  0.7503
Li  0.2318  0.5262  0.2529
Li  0.6954  0.0295  0.7466
Mn  0.0182  0.3738  0.4576
Mn  0.0261  0.6661  0.9622
Mn  0.2023  0.1772  0.2165
Mn  0.2021  0.8619  0.7235
Mn  0.5026  0.2211  0.9613
Mn  0.5127  0.8392  0.4675
Mn  0.6901  0.3655  0.7002
Mn  0.7140  0.7185  0.2064
B  0.0370  0.3348  0.9512
B  0.0432  0.7126  0.4520
B  0.1821  0.2035  0.7091
B  0.1878  0.8358  0.2030
B  0.5175  0.1830  0.4641
B  0.5270  0.8716  0.9645
B  0.6928  0.6939  0.7171
B  0.7034  0.3730  0.2024
O  0.0474  0.0740  0.6975
O  0.0650  0.9643  0.1852
O  0.0719  0.6979  0.1702
O  0.0830  0.3374  0.6660
O  0.1442  0.2019  0.9978
O  0.1487  0.8408  0.5095
O  0.1699  0.5841  0.4428
O  0.1800  0.4580  0.9396
O  0.2641  0.1904  0.4224
O  0.2728  0.8516  0.9310
O  0.4264  0.8288  0.2602
O  0.4289  0.2040  0.7638
O  0.5451  0.5713  0.7154
O  0.5711  0.2481  0.1487
O  0.5816  0.5039  0.2118
O  0.5909  0.8303  0.6773
O  0.6402  0.0501  0.4710
O  0.6498  0.3101  0.5013
O  0.6505  0.0007  0.9381
O  0.6645  0.7544  0.0212
O  0.7883  0.3326  0.9079
O  0.8002  0.7287  0.3983
O  0.9474  0.6879  0.7566
O  0.9532  0.3558  0.2472



A relaxed Ca6Co3RhO12 crystal, computed with PBE with a Hubbard U.

## Properties
Total magnetization in μB per atom: 0.364
Space-group type: R-3
Formation energy from the elements in eV/atom: -2.36

a b c (Å): 6.3830 6.3830 6.3830
angles (deg): 91.76 91.76 91.76
Fractional coordinates of all 22 atoms:
Ca  0.1192  0.3824  0.7460
Ca  0.2540  0.8808  0.6176
Ca  0.3824  0.7460  0.1192
Ca  0.6176  0.2540  0.8808
Ca  0.7460  0.1192  0.3824
Ca  0.8808  0.6176  0.2540
Co  0.2561  0.2561  0.2561
Co  0.5000  0.5000  0.5000
Co  0.7439  0.7439  0.7439
Rh  0.0000  0.0000  0.0000
O  0.0329  0.6986  0.8977
O  0.1023  0.9671  0.3014
O  0.2120  0.5401  0.4087
O  0.3014  0.1023  0.9671
O  0.4087  0.2120  0.5401
O  0.4599  0.5913  0.7880
O  0.5401  0.4087  0.2120
O  0.5913  0.7880  0.4599
O  0.6986  0.8977  0.0329
O  0.7880  0.4599  0.5913
O  0.8977  0.0329  0.6986
O  0.9671  0.3014  0.1023



A relaxed Li3Fe8B8O24 crystal, computed with PBE with a Hubbard U.

## Properties
Total magnetization in μB per atom: 0.860
Space-group type: P1
Formation energy from the elements in eV/atom: -2.25

a b c (Å): 5.2655 9.1635 11.3540
angles (deg): 113.11 103.02 90.24
Fractional coordinates of all 43 atoms:
Li  0.0000  0.0000  0.0000
Li  0.2192  0.2482  0.5086
Li  0.7200  0.7442  0.5000
Fe  0.0208  0.6863  0.0362
Fe  0.0442  0.4018  0.7895
Fe  0.2332  0.6011  0.5424
Fe  0.2930  0.3246  0.2903
Fe  0.5057  0.1960  0.0357
Fe  0.5306  0.9014  0.7826
Fe  0.7330  0.1006  0.5394
Fe  0.7840  0.8228  0.2815
B  0.0021  0.3525  0.0346
B  0.0415  0.0748  0.7931
B  0.2393  0.9385  0.5358
B  0.2872  0.6547  0.2917
B  0.5044  0.8693  0.0399
B  0.5467  0.5657  0.7875
B  0.7441  0.4374  0.5376
B  0.7850  0.1531  0.2896
O  0.0470  0.1881  0.3078
O  0.1063  0.7365  0.2409
O  0.1122  0.4482  0.9881
O  0.1641  0.2517  0.0821
O  0.2032  0.5381  0.3293
O  0.2454  0.8621  0.0321
O  0.3163  0.0829  0.8365
O  0.3570  0.0679  0.5332
O  0.3869  0.4445  0.7803
O  0.3935  0.8368  0.5844
O  0.4383  0.6833  0.7465
O  0.4682  0.3996  0.4903
O  0.5503  0.6899  0.3123
O  0.6021  0.2326  0.2322
O  0.6221  0.9743  0.9949
O  0.6759  0.7816  0.0897
O  0.6989  0.0438  0.3312
O  0.7449  0.3445  0.0362
O  0.8176  0.5736  0.8284
O  0.8584  0.5703  0.5369
O  0.8914  0.3333  0.5812
O  0.8919  0.9641  0.8089
O  0.9320  0.1774  0.7407
O  0.9669  0.9003  0.4926



Number 1: raw total energy -199.5 eV per cell. Number 2: raw total energy -171.8 eV per cell. Number 3: raw total energy -71.2 eV per cell. Number 4: raw total energy -583.5 eV per cell. Number 5: raw total energy -71.9 eV per cell. Number 6: raw total energy -72.9 eV per cell. Number 7: raw total energy -113.1 eV per cell. Number 8: raw total energy -263.0 eV per cell. Number 9: raw total energy -335.1 eV per cell. Number 10: raw total energy -138.9 eV per cell. Number 11: raw total energy -307.9 eV per cell.